Material: Na4Ca2SiP4
Method: DFT, PBE
State: relaxed

Cell and atoms, written as CIF:
```
data_Na4Ca2SiP4
_chemical_formula_sum 'Na16 Ca8 Si4 P16'
_space_group_name_H-M_alt 'C 1 c 1'
_space_group_IT_number 9
_space_group_name_Hall 'C -2yc'
_cell_length_a 9.210
_cell_length_b 15.821
_cell_length_c 6.986
_cell_angle_alpha 90.00
_cell_angle_beta 92.05
_cell_angle_gamma 90.00
loop_
_atom_site_label
_atom_site_type_symbol
_atom_site_fract_x
_atom_site_fract_y
_atom_site_fract_z
Na1 Na 0.000 0.071 0.000
Na2 Na 0.204 0.145 0.483
Na3 Na 0.418 0.265 0.798
Na4 Na 0.421 0.076 0.969
Ca1 Ca 0.000 0.262 0.799
Ca2 Ca 0.214 0.474 0.802
Si1 Si 0.205 0.333 0.187
P1 P 0.007 0.405 0.064
P2 P 0.207 0.338 0.516
P3 P 0.213 0.198 0.084
P4 P 0.413 0.403 0.098
```

Energy (eV/atom): -3.9932
Formation energy from the elements (eV per atom): -0.686